## Cs3Bi2I9 (PBE)

Data for a relaxed structure of Cs3Bi2I9.

For the total energy, the calculation gives -2.697 eV/atom. Its formation enthalpy at 0 K is -1.21 eV/atom.

Geometry as CIF:
```
data_Cs3Bi2I9
_space_group_name_H-M_alt 'P 63/m m c'
_space_group_IT_number 194
_space_group_name_Hall '-P 6c 2c'
_cell_length_a 8.6451
_cell_length_b 8.6451
_cell_length_c 21.9231
_cell_angle_alpha 90.00
_cell_angle_beta 90.00
_cell_angle_gamma 120.00
loop_
_atom_site_label
_atom_site_fract_x
_atom_site_fract_y
_atom_site_fract_z
Cs1 0.0000 0.0000 0.2500
Cs2 0.3333 0.6667 0.0794
Bi1 0.3333 0.6667 0.6557
I1 0.0023 0.5011 0.2500
I2 0.1657 0.3315 0.5822
```